(1)
## YTi2O4 (PBE-GGA)

Data for a relaxed structure of YTi2O4.

- Energy of formation: -3250 meV per atom
- Total magnetic moment: 0.0 μB/cell
- ΔE to the lowest computed polymorph: 0 meV per atom

Lattice parameters (Å, degrees): 5.8242 5.8242 9.9899 90.00 90.00 90.00
Closest atoms and distances in Å follow each position.
Space group I4_1/a (No. 88, origin choice 2)
One atom of each set of equivalent atoms:
Y (0.0000, 0.2500, 0.1250) [4 per cell]  8 O 2.33-2.47
Ti (0.0000, 0.0000, 0.5000) [8 per cell]  4 O 1.97-2.04
O (0.1634, 0.4478, 0.3218) [16 per cell]  2 Ti 1.97-2.04


(2)
## SnNF3 (PBE-GGA)

Data for a relaxed structure of SnNF3.

- Energy of formation: -982 meV per atom
- Total magnetic moment: 18.0 μB/cell
- ΔE to the lowest computed polymorph: 390 meV per atom

Lattice parameters (Å, degrees): 6.2202 6.2202 18.2622 90.00 90.00 120.00
Closest atoms and distances in Å follow each position.
Space group R-3 (No. 148, hexagonal axes)
One atom of each set of equivalent atoms:
Sn (0.0000, 0.0000, 0.1679) [6 per cell]  6 F 2.19
N (0.0000, 0.0000, 0.3680) [6 per cell]  6 F 2.87-3.17
F (0.0035, 0.4153, 0.5620) [18 per cell]  2 Sn 2.19


(3)
## Na3Nd14Ru6O36 (PBE-GGA)

Data for a relaxed structure of Na3Nd14Ru6O36.

- Energy of formation: -2888 meV per atom
- Total magnetic moment: 90.3 μB/cell

Lattice parameters (Å, degrees): 9.7874 9.7874 56.0524 90.00 90.00 120.00
Closest atoms and distances in Å follow each position.
Space group R-3c (No. 167, hexagonal axes)
One atom of each set of equivalent atoms:
Na (0.0000, 0.0000, 0.0532) [12 per cell]  6 O 2.46-2.56
Na (0.0000, 0.0000, 0.2500) [6 per cell]  6 O 2.41
Nd (0.0000, 0.0000, 0.1078) [12 per cell]  9 O 2.46-2.66
Nd (0.0031, 0.2873, 0.2168) [36 per cell]  8 O 2.38-2.62
Nd (0.0117, 0.3667, 0.6859) [36 per cell]  6 O 2.37-2.64
Ru (0.0000, 0.0000, 0.0000) [6 per cell]  6 O 2.03
Ru (0.0000, 0.0000, 0.1623) [12 per cell]  6 O 1.97-2.06
Ru (0.0000, 0.3328, 0.7500) [18 per cell]  6 O 1.97-2.02
O (0.0032, 0.1710, 0.5207) [36 per cell]  1 Ru 2.03
O (0.0049, 0.1960, 0.7764) [36 per cell]  1 Ru 2.01
O (0.0222, 0.4793, 0.7758) [36 per cell]  1 Ru 1.97
O (0.0685, 0.1995, 0.1794) [36 per cell]  1 Ru 1.97
O (0.0693, 0.1954, 0.8591) [36 per cell]  1 Ru 2.06
O (0.0964, 0.2333, 0.9180) [36 per cell]  1 Ru 2.02


(4)
## Ti5Ge3 (PBE-GGA)

Data for a relaxed structure of Ti5Ge3.

- Energy of formation: -696 meV per atom

Lattice parameters (Å, degrees): 7.5907 7.5907 5.2267 90.00 90.00 120.00
Closest atoms and distances in Å follow each position.
Space group P6_3/mcm (No. 193)
One atom of each set of equivalent atoms:
Ti (0.0000, 0.2509, 0.2500) [6 per cell]  5 Ge 2.60-2.82
Ti (0.3333, 0.6667, 0.0000) [4 per cell]  2 Ti 2.61, 6 Ge 2.69
Ge (0.0000, 0.3896, 0.7500) [6 per cell]  9 Ti 2.60-2.82


(5)
## Sm3Cr (PBE-GGA)

Data for a relaxed structure of Sm3Cr.

- Energy of formation: 359 meV per atom
- Total magnetic moment: 6.7 μB/cell

Lattice parameters (Å, degrees): 4.8169 4.8169 9.9482 90.00 90.00 90.00
Closest atoms and distances in Å follow each position.
Space group I4/mmm (No. 139)
One atom of each set of equivalent atoms:
Sm (0.0000, 0.0000, 0.0000) [2 per cell]  4 Cr 3.41, 8 Sm 3.46
Sm (0.0000, 0.5000, 0.2500) [4 per cell]  8 Sm 3.41-3.46, 4 Cr 3.46
Cr (0.0000, 0.0000, 0.5000) [2 per cell]  12 Sm 3.41-3.46


(6)
## Rb2O (PBE-GGA)

Data for a relaxed structure of Rb2O.

- Energy of formation: -1130 meV per atom

Lattice parameters (Å, degrees): 6.8772 6.8772 6.8772 90.00 90.00 90.00
Closest atoms and distances in Å follow each position.
Space group Fm-3m (No. 225)
One atom of each set of equivalent atoms:
Rb (0.2500, 0.2500, 0.2500) [8 per cell]  4 O 2.98
O (0.0000, 0.0000, 0.0000) [4 per cell]  8 Rb 2.98


(7)
## BiOF (PBE-GGA)

Data for a relaxed structure of BiOF.

- Energy of formation: -2126 meV per atom
- Total magnetic moment: 0.0 μB/cell

Lattice parameters (Å, degrees): 7.8707 9.1720 11.2679 90.00 90.00 90.00
Closest atoms and distances in Å follow each position.
Space group Fddd (No. 70, origin choice 2)
One atom of each set of equivalent atoms:
Bi (0.1250, 0.3266, 0.1250) [16 per cell]  2 F 2.34, 4 O 2.38-2.41
O (0.1250, 0.1250, 0.2573) [16 per cell]  4 Bi 2.38-2.41
F (0.0000, 0.0000, 0.5000) [16 per cell]  2 Bi 2.34


(8)
## B2RuW (PBE-GGA)

Data for a relaxed structure of B2RuW.

- Energy of formation: -233 meV per atom
- Total magnetic moment: 0.0 μB/cell

Lattice parameters (Å, degrees): 2.9947 4.5594 6.0251 90.00 90.00 90.00
Closest atoms and distances in Å follow each position.
Space group Pmc2_1 (No. 26)
One atom of each set of equivalent atoms:
B (0.0000, 0.1329, 0.0000) [2 per cell]  2 B 1.79
B (0.5000, 0.3346, 0.0567) [2 per cell]  2 B 1.79
Ru (0.5000, 0.1277, 0.7101) [2 per cell]  6 B 2.29-2.30
W (0.0000, 0.3787, 0.3512) [2 per cell]  7 B 2.33-2.50


(9)
## H3Pd4 (PBE-GGA)

Data for a relaxed structure of H3Pd4.

- Energy of formation: -68 meV per atom

Lattice parameters (Å, degrees): 2.9066 2.9066 28.3548 90.00 90.00 120.00
Closest atoms and distances in Å follow each position.
Space group R-3m (No. 166, hexagonal axes)
One atom of each set of equivalent atoms:
H (0.0000, 0.0000, 0.0000) [3 per cell]  6 Pd 2.06
H (0.0000, 0.0000, 0.2403) [6 per cell]  3 Pd 1.92
Pd (0.0000, 0.0000, 0.1258) [6 per cell]  3 H 1.92
Pd (0.0000, 0.0000, 0.3752) [6 per cell]  6 H 2.06-2.22


(10)
## Na4Ca2SiS2O12 (PBE-GGA)

Data for a relaxed structure of Na4Ca2SiS2O12.

- Energy of formation: -2552 meV per atom
- Total magnetic moment: 0.0 μB/cell

Lattice parameters (Å, degrees): 16.5994 9.5809 22.9996 90.00 90.01 90.00
Closest atoms and distances in Å follow each position.
Space group Cc (No. 9)
One atom of each set of equivalent atoms:
Na (0.0000, 0.1146, 0.0000) [4 per cell]  3 O 2.39-2.43
Na (0.0160, 0.1595, 0.6404) [4 per cell]  2 O 2.40-2.61
Na (0.1436, 0.3088, 0.1559) [4 per cell]  2 O 2.37
Na (0.1505, 0.0008, 0.5727) [4 per cell]  2 O 2.36-2.37
Na (0.1692, 0.3057, 0.4933) [4 per cell]  5 O 2.53-2.84
Na (0.1811, 0.3495, 0.8266) [4 per cell]  4 O 2.49-2.78
Na (0.3311, 0.1889, 0.9735) [4 per cell]  2 O 2.45-2.56
Na (0.3456, 0.1501, 0.6717) [4 per cell]  3 O 2.46-2.70
Na (0.3457, 0.4707, 0.9061) [4 per cell]  2 O 2.34-2.35
Na (0.3496, 0.1573, 0.3185) [4 per cell]  4 O 2.49-2.76
Na (0.4756, 0.3056, 0.8225) [4 per cell]  3 O 2.41-2.65
Na (0.4924, 0.0290, 0.7390) [4 per cell]  2 O 2.36
Ca (0.0005, 0.4953, 0.5864) [4 per cell]  6 O 2.21-2.40
Ca (0.1683, 0.0017, 0.9197) [4 per cell]  6 O 2.20-2.42
Ca (0.1686, 0.0020, 0.7254) [4 per cell]  6 O 2.20-2.41
Ca (0.3412, 0.4892, 0.7531) [4 per cell]  5 O 2.15-2.40
Ca (0.3425, 0.4998, 0.0590) [4 per cell]  5 O 2.17-2.39
Ca (0.4989, 0.0094, 0.8921) [4 per cell]  3 O 2.14-2.36
Si (0.0029, 0.1891, 0.4900) [4 per cell]  4 O 1.64-1.67
Si (0.3225, 0.1537, 0.8226) [4 per cell]  4 O 1.64-1.67
Si (0.4926, 0.3422, 0.6557) [4 per cell]  4 O 1.64-1.67
S (0.0166, 0.1567, 0.8226) [4 per cell]  4 O 1.47-1.50
S (0.1544, 0.3490, 0.9893) [4 per cell]  4 O 1.48-1.50
S (0.1711, 0.3070, 0.3225) [4 per cell]  4 O 1.48-1.50
S (0.1828, 0.3503, 0.6554) [4 per cell]  4 O 1.48-1.50
S (0.3339, 0.1958, 0.1571) [4 per cell]  4 O 1.48-1.50
S (0.3482, 0.1536, 0.4893) [4 per cell]  4 O 1.48-1.50
O (0.0013, 0.3311, 0.1545) [4 per cell]  1 Si 1.67
O (0.0134, 0.3128, 0.8272) [4 per cell]  1 S 1.50
O (0.0136, 0.2831, 0.5494) [4 per cell]  1 Si 1.65
O (0.0548, 0.0944, 0.8747) [4 per cell]  1 S 1.48
O (0.0633, 0.1222, 0.7700) [4 per cell]  1 S 1.47
O (0.0836, 0.0840, 0.1565) [4 per cell]  1 Si 1.67
O (0.0840, 0.0864, 0.4890) [4 per cell]  1 Si 1.67
O (0.1008, 0.4144, 0.6537) [4 per cell]  1 S 1.49
O (0.1015, 0.4071, 0.3257) [4 per cell]  1 S 1.50
O (0.1055, 0.3834, 0.0411) [4 per cell]  1 S 1.48
O (0.1140, 0.3999, 0.9355) [4 per cell]  1 S 1.49
O (0.1592, 0.2182, 0.2705) [4 per cell]  1 S 1.48
O (0.1648, 0.1939, 0.9878) [4 per cell]  1 S 1.50
O (0.1754, 0.1947, 0.6579) [4 per cell]  1 S 1.50
O (0.1771, 0.2196, 0.3754) [4 per cell]  1 S 1.48
O (0.2244, 0.4065, 0.7078) [4 per cell]  1 S 1.49
O (0.2296, 0.3854, 0.6023) [4 per cell]  1 S 1.48
O (0.2355, 0.4183, 0.9922) [4 per cell]  1 S 1.50
O (0.2477, 0.3899, 0.3180) [4 per cell]  1 S 1.50
O (0.2611, 0.1045, 0.1590) [4 per cell]  1 S 1.49
O (0.2678, 0.0833, 0.4856) [4 per cell]  1 S 1.50
O (0.2702, 0.1164, 0.8813) [4 per cell]  1 Si 1.64
O (0.2777, 0.0947, 0.7639) [4 per cell]  1 Si 1.64
O (0.3263, 0.2868, 0.1053) [4 per cell]  1 S 1.48
O (0.3306, 0.3275, 0.8238) [4 per cell]  1 Si 1.67
O (0.3344, 0.3080, 0.4933) [4 per cell]  1 S 1.50
O (0.3402, 0.2829, 0.2105) [4 per cell]  1 S 1.49
O (0.3900, 0.0986, 0.5412) [4 per cell]  1 S 1.48
O (0.3979, 0.1276, 0.4366) [4 per cell]  1 S 1.49
O (0.4081, 0.1069, 0.1543) [4 per cell]  1 S 1.50
O (0.4132, 0.0782, 0.8218) [4 per cell]  1 Si 1.67
O (0.4186, 0.4057, 0.9888) [4 per cell]  1 Si 1.67
O (0.4318, 0.3978, 0.3194) [4 per cell]  1 S 1.50
O (0.4389, 0.3753, 0.7141) [4 per cell]  1 Si 1.64
O (0.4491, 0.4069, 0.5973) [4 per cell]  1 Si 1.65
O (0.4967, 0.2104, 0.9324) [4 per cell]  1 Si 1.64


(11)
## Sr2H8PtO8 (PBE-GGA)

Data for a relaxed structure of Sr2H8PtO8.

- Energy of formation: -1698 meV per atom
- Total magnetic moment: 0.0 μB/cell

Lattice parameters (Å, degrees): 6.0600 11.1877 6.0716 90.00 113.53 90.00
Closest atoms and distances in Å follow each position.
Space group P2_1/c (No. 14)
One atom of each set of equivalent atoms:
Sr (0.2291, 0.1287, 0.3947) [4 per cell]  8 O 2.53-2.77, 1 H 2.74
H (0.0892, 0.0840, 0.8307) [4 per cell]  1 O 0.98
H (0.1350, 0.7410, 0.9366) [4 per cell]  1 O 0.98
H (0.2542, 0.6221, 0.6627) [4 per cell]  1 O 1.01
H (0.3541, 0.6932, 0.2748) [4 per cell]  1 O 0.99
Pt (0.5000, 0.0000, 0.0000) [2 per cell]  6 O 2.04-2.05
O (0.0538, 0.7257, 0.5328) [4 per cell]  1 H 0.98
O (0.1543, 0.0235, 0.7561) [4 per cell]  1 H 0.98
O (0.3794, 0.5594, 0.7505) [4 per cell]  1 H 1.01
O (0.4804, 0.1690, 0.1220) [4 per cell]  1 H 0.99


> The lowest energy of formation belongs to which entry?

YTi2O4


> energy of formation of number 9 (H3Pd4)?

-68 meV per atom


> Number 9 is which compound?

H3Pd4


Repeat the seventh record exactly.
## BiOF (PBE-GGA)

Data for a relaxed structure of BiOF.

- Energy of formation: -2126 meV per atom
- Total magnetic moment: 0.0 μB/cell

Lattice parameters (Å, degrees): 7.8707 9.1720 11.2679 90.00 90.00 90.00
Closest atoms and distances in Å follow each position.
Space group Fddd (No. 70, origin choice 2)
One atom of each set of equivalent atoms:
Bi (0.1250, 0.3266, 0.1250) [16 per cell]  2 F 2.34, 4 O 2.38-2.41
O (0.1250, 0.1250, 0.2573) [16 per cell]  4 Bi 2.38-2.41
F (0.0000, 0.0000, 0.5000) [16 per cell]  2 Bi 2.34